DFT (r2SCAN) results for Nd3Zn22 after structural relaxation.

Structure (extended XYZ):
```
50
Lattice="-3.910 6.821 -3.922 2.926 -2.799 -7.797 -8.254 -7.729 4.624" Properties=species:S:1:pos:R:3 pbc="T T T"
Nd -7.949 -6.375 -3.177
Nd -5.532 -0.105 -4.520
Nd -1.289 2.668 -3.918
Nd -3.706 -3.602 -2.575
Nd 0.011 -3.533 -6.158
Nd -9.249 -0.174 -0.937
Zn -4.191 -0.594 -1.435
Zn -2.762 -1.953 -5.226
Zn -6.778 -6.625 0.005
Zn -5.213 -8.119 -4.165
Zn -6.279 3.054 -3.533
Zn -4.856 1.696 -7.328
Zn -8.676 -3.304 -1.901
Zn -7.113 -4.801 -6.076
Zn -5.048 -3.113 -5.661
Zn -6.476 -1.753 -1.869
Zn -2.460 2.919 -7.100
Zn -4.025 4.412 -2.930
Zn -2.960 -6.761 -3.562
Zn -4.382 -5.402 0.232
Zn -0.562 -0.402 -5.194
Zn -2.125 1.095 -1.019
Zn -4.919 -6.498 -1.984
Zn -4.032 1.928 -2.459
Zn -2.715 0.674 -5.966
Zn -6.672 -3.431 -3.750
Zn -4.319 2.791 -5.111
Zn -5.206 -5.634 -4.636
Zn -6.523 -4.380 -1.130
Zn -2.566 -0.275 -3.345
Zn -1.519 -1.219 -7.563
Zn -8.363 -1.262 -3.711
Zn -7.508 -2.079 -5.997
Zn -2.664 0.778 -8.716
Zn -7.719 -2.488 0.468
Zn -0.875 -2.445 -3.384
Zn -1.730 -1.627 -1.098
Zn -6.574 -4.484 1.620
Zn -9.138 -3.880 -4.518
Zn -4.334 -0.968 -7.213
Zn -6.378 0.985 -1.773
Zn -6.411 -8.641 -1.781
Zn -0.100 0.174 -2.577
Zn -4.904 -2.739 0.118
Zn -2.860 -4.692 -5.323
Zn -2.827 4.935 -5.314
Zn -6.082 -0.454 0.351
Zn 1.463 -1.399 -3.898
Zn 0.000 0.000 0.000
Zn -5.111 0.158 -9.407
```

***

DFT (r2SCAN) results for Pm2AlCd after structural relaxation.

Structure (extended XYZ):
```
4
Lattice="0.000 3.764 3.764 3.764 0.000 3.764 3.764 3.764 0.000" Properties=species:S:1:pos:R:3 pbc="T T T"
Pm 1.882 1.882 1.882
Pm 5.646 5.646 5.646
Al 3.764 3.764 3.764
Cd 0.000 0.000 0.000
```

***

DFT (r2SCAN) results for Ac2Mg after structural relaxation.

Structure (extended XYZ):
```
6
Lattice="2.088 -9.348 0.000 2.088 9.348 0.000 0.000 0.000 6.028" Properties=species:S:1:pos:R:3 pbc="T T T"
Ac 2.088 5.127 1.507
Ac 2.088 -7.790 1.507
Ac 2.088 -5.127 4.521
Ac 2.088 7.790 4.521
Mg 2.088 -1.333 1.507
Mg 2.088 1.333 4.521
```

energy above the most stable polymorph in this dataset: 0.011 eV/atom

***

DFT (r2SCAN) results for LaTaTiO6 after structural relaxation.

Structure (extended XYZ):
```
36
Lattice="5.458 0.000 0.000 0.000 7.560 0.000 0.000 0.000 10.979" Properties=species:S:1:pos:R:3 pbc="T T T"
La 2.497 5.663 10.522
La 0.232 5.663 5.033
La 2.961 1.884 0.457
La 5.226 1.884 5.946
Ta 2.516 3.814 7.082
Ta 2.942 0.034 3.897
Ta 5.245 0.034 9.387
Ta 0.213 3.814 1.592
Ti 0.201 7.513 1.562
Ti 5.257 3.734 9.417
Ti 2.930 3.734 3.928
Ti 2.528 7.513 7.051
O 0.224 5.662 9.398
O 2.505 5.662 3.908
O 5.234 1.882 1.582
O 2.953 1.882 7.071
O 3.456 4.194 8.684
O 4.751 7.153 3.153
O 2.002 0.414 2.295
O 0.707 3.373 7.826
O 2.022 3.373 2.337
O 0.727 0.414 7.785
O 3.436 7.153 8.643
O 4.731 4.194 3.194
O 0.816 5.685 1.366
O 1.913 5.685 6.856
O 4.642 1.905 9.613
O 3.545 1.905 4.123
O 1.253 0.273 10.682
O 1.497 3.511 5.215
O 4.205 4.052 0.297
O 3.961 7.291 5.764
O 4.226 7.291 0.275
O 3.982 4.052 5.787
O 1.232 3.511 10.704
O 1.476 0.273 5.192
```

***

DFT (r2SCAN) results for LiTl2Pd after structural relaxation.

Structure (extended XYZ):
```
4
Lattice="-1.067 1.473 4.432 -4.294 1.914 0.919 -3.190 -2.423 2.626" Properties=species:S:1:pos:R:3 pbc="T T T"
Li -4.276 0.482 3.988
Tl -2.138 0.241 1.994
Tl -6.414 0.723 5.982
Pd 0.000 0.000 0.000
```

***

DFT (r2SCAN) results for CeZn3Cu2 after structural relaxation.

Structure (extended XYZ):
```
6
Lattice="-0.462 2.203 -4.658 -3.825 -2.946 1.859 -1.742 3.380 1.771" Properties=species:S:1:pos:R:3 pbc="T T T"
Ce 0.000 0.000 0.000
Zn -2.784 0.217 1.815
Zn -1.102 2.792 -1.443
Zn -3.015 1.318 -0.514
Cu -1.583 0.487 -2.486
Cu -2.704 -1.230 -0.314
```

***

DFT (r2SCAN) results for La4CdNi after structural relaxation.

Structure (extended XYZ):
```
24
Lattice="0.848 -0.017 9.973 -7.311 3.846 5.651 -5.776 -6.044 5.503" Properties=species:S:1:pos:R:3 pbc="T T T"
La -7.305 -1.322 12.610
La -5.067 1.020 10.477
La -4.472 -2.813 10.420
La -7.634 -1.316 8.745
La -5.746 -0.974 5.509
La -0.374 -0.133 5.054
La -2.600 -2.463 7.175
La -3.519 1.356 3.388
La -3.192 1.349 7.232
La -2.927 -2.457 3.331
La -10.459 -1.787 10.931
La -1.780 -0.429 10.195
La -5.377 -4.193 13.623
La -6.862 1.977 7.504
La -6.334 1.966 13.714
La -5.906 -4.182 7.412
Cd -10.134 -1.834 17.492
Cd -8.332 0.051 15.776
Cd -7.853 -3.034 15.730
Cd -10.398 -1.829 14.381
Ni -4.796 -0.868 8.278
Ni -7.295 -3.483 10.659
Ni -7.959 0.796 10.723
Ni -4.429 -0.876 12.592
```

***

DFT (r2SCAN) results for Ga2S3 after structural relaxation.

Structure (extended XYZ):
```
10
Lattice="-6.972 2.287 -1.282 -4.041 0.232 -10.388 -3.973 -2.359 -4.452" Properties=species:S:1:pos:R:3 pbc="T T T"
Ga -4.129 0.193 -10.458
Ga -13.575 0.137 -12.630
Ga -4.915 1.196 -4.187
Ga -10.115 -1.058 -11.938
S -5.977 -0.053 -11.633
S -3.173 -0.256 -4.683
S -5.284 0.866 -1.916
S -4.522 -0.196 -8.197
S -6.748 0.977 -5.389
S -7.995 0.974 -8.865
```

***

DFT (r2SCAN) results for Cd2Tc2O7 after structural relaxation.

Structure (extended XYZ):
```
22
Lattice="0.000 5.094 5.094 5.094 0.000 5.094 5.094 5.094 0.000" Properties=species:S:1:pos:R:3 pbc="T T T"
Cd 1.274 3.821 3.821
Cd 3.821 1.274 3.821
Cd 3.821 3.821 1.274
Cd 1.274 1.274 1.274
Tc 6.368 3.821 3.821
Tc 3.821 6.368 3.821
Tc 3.821 3.821 6.368
Tc 6.368 6.368 6.368
O 5.094 5.094 7.070
O 5.094 5.094 3.118
O 5.094 7.070 5.094
O 5.094 3.118 5.094
O 7.070 5.094 5.094
O 3.118 5.094 5.094
O 7.642 7.642 5.666
O 7.642 7.642 9.618
O 7.642 5.666 7.642
O 7.642 9.618 7.642
O 5.666 7.642 7.642
O 9.618 7.642 7.642
O 2.547 2.547 2.547
O 0.000 0.000 0.000
```

***

DFT (r2SCAN) results for LiAcRh2 after structural relaxation.

Structure (extended XYZ):
```
4
Lattice="-0.840 3.100 3.458 -1.386 4.387 -1.050 -4.423 1.362 0.925" Properties=species:S:1:pos:R:3 pbc="T T T"
Li 0.000 0.000 0.000
Ac -3.324 4.425 1.666
Rh -4.986 6.637 2.499
Rh -1.662 2.212 0.833
```

***

DFT (r2SCAN) results for Pm2MgAl after structural relaxation.

Structure (extended XYZ):
```
4
Lattice="0.000 3.766 3.766 3.766 0.000 3.766 3.766 3.766 0.000" Properties=species:S:1:pos:R:3 pbc="T T T"
Pm 0.000 0.000 0.000
Pm 3.766 3.766 3.766
Mg 5.649 5.649 5.649
Al 1.883 1.883 1.883
```

***

DFT (r2SCAN) results for Mn3O2F4 after structural relaxation.

Structure (extended XYZ):
```
18
Lattice="-4.683 0.000 0.000 0.001 4.651 -6.291 0.000 -4.677 -3.165" Properties=species:S:1:pos:R:3 pbc="T T T"
Mn -0.049 0.005 -6.292
Mn -2.520 -2.318 -4.798
Mn -4.483 0.017 -3.246
Mn -2.390 2.298 -4.733
Mn -2.141 2.285 -7.777
Mn -0.179 -0.055 -9.393
O -3.814 -0.808 -4.804
O -3.270 1.464 -3.249
O -1.472 3.110 -6.219
O -0.929 0.840 -7.776
F -3.690 -0.947 -7.874
F -3.423 1.406 -6.305
F -1.351 -1.425 -6.317
F -1.082 0.897 -4.720
F -3.644 -0.953 -1.528
F -3.199 -3.243 -3.041
F -1.302 -1.396 -3.203
F -0.859 0.897 -1.694
```

***

| no. | calculated formation energy (eV per atom) | volume (Å³ per atom) |
| --- | --- | --- |
| 1 | -0.311 | 16.2 |
| 2 | -0.400 | 26.7 |
| 3 | -0.043 | 39.2 |
| 4 | -3.487 | 12.6 |
| 5 | -0.260 | 19.4 |
| 6 | -0.276 | 16.2 |
| 7 | -0.259 | 29.5 |
| 8 | -0.797 | 21.8 |
| 9 | -1.526 | 12.0 |
| 10 | -0.353 | 18.6 |
| 11 | -0.298 | 26.7 |
| 12 | -2.596 | 11.5 |